Material: LaHfPS2O12
Method: DFT, PBE
State: relaxed

Summary:
- E (MP2020) (eV/atom) = -7.985
- formation enthalpy at 0 K (eV/atom) = -2.81
- space group = Cc

Structure (POSCAR):
```
LaHfPS2O12
1.0
-5.578 -7.204 1.913
2.346 1.856 -8.823
18.535 -13.812 2.031
O La S Hf P
72 6 12 6 6
Cartesian
3.531 -6.081 -4.884
11.045 -7.855 -2.495
5.885 -9.004 -1.584
3.795 -11.362 -4.038
4.996 -2.139 -7.620
16.521 -15.994 -2.924
3.857 -2.738 -1.386
7.755 -8.685 -5.678
15.942 -13.103 -5.262
10.783 -13.539 -5.411
13.307 -18.292 0.064
-3.024 -5.315 -0.093
10.848 -8.647 -6.107
6.727 -6.809 -0.715
9.015 -10.749 -3.714
18.276 -13.519 -1.917
14.485 -16.306 1.742
16.509 -11.861 -2.558
-2.739 -5.379 -3.180
-1.374 -3.224 -1.495
2.215 -6.292 0.484
4.449 -5.615 0.986
-2.962 -7.314 1.296
-1.661 -6.515 -5.040
14.166 -12.157 0.241
4.786 -4.061 -3.211
3.004 -8.533 -4.993
7.782 -14.353 0.005
5.175 -4.005 -6.052
7.951 -7.980 -2.570
15.530 -14.202 2.274
-0.906 -6.421 0.378
6.084 -14.696 1.820
2.008 -7.117 -3.185
5.757 -6.873 -3.065
0.517 -2.577 -3.078
4.136 -11.259 -1.660
12.010 -12.717 -0.632
7.122 -11.520 -2.368
0.178 -9.123 -0.768
2.328 -0.511 -5.614
9.502 -6.184 -4.711
0.306 -3.387 -6.685
9.481 -11.881 1.010
14.887 -16.249 -1.153
14.715 -14.374 -2.709
13.592 -11.563 -2.037
0.659 -4.677 -1.746
16.797 -9.594 -5.529
0.946 -2.458 -0.612
12.552 -10.383 -0.174
7.543 -4.761 -4.444
9.955 -9.507 1.060
14.621 -8.417 -5.998
1.183 -6.896 -5.584
-1.132 -7.153 -2.754
11.724 -19.231 1.766
10.267 -14.767 1.916
18.109 -14.187 -5.035
8.021 -12.886 -4.167
6.083 -6.962 -6.075
7.742 -10.286 0.409
14.301 -16.669 -3.447
5.923 -12.675 0.197
12.951 -12.838 -4.524
0.481 -10.956 0.740
4.788 -9.955 0.874
14.699 -10.532 -4.520
3.263 -11.170 2.287
9.324 -12.524 -2.146
10.070 -15.579 -1.756
10.393 -16.813 3.142
9.949 -13.904 -0.270
0.787 -6.863 -1.322
10.462 -19.145 3.656
0.282 -1.582 -5.067
9.567 -8.466 -4.057
6.757 -5.055 0.732
12.276 -13.571 -5.638
8.385 -11.911 -3.084
8.916 -10.570 1.316
17.213 -13.511 -5.966
15.109 -15.809 -2.577
6.646 -8.283 -6.536
13.082 -11.721 -0.631
-2.206 -6.059 0.936
5.390 -3.589 -7.470
5.135 -3.110 -2.099
-2.195 -6.701 -3.649
9.018 -4.801 -4.682
2.706 -2.017 0.296
11.973 -8.923 1.311
14.848 -12.276 -3.595
5.950 -10.817 -0.673
15.231 -17.705 0.338
5.418 -5.580 -4.555
17.748 -12.131 -1.596
2.417 -7.179 -4.650
0.184 -3.230 -1.743
6.593 -7.662 -1.964
15.461 -9.208 -4.929
6.307 -14.197 0.351
```

Material: Tc2As3
Method: DFT, PBE
State: relaxed

Summary:
- formation enthalpy at 0 K (eV/atom) = -0.28
- space group = P-1

Structure (POSCAR):
```
Tc2As3
1.0
6.668 0.000 0.000
-1.673 6.487 0.000
-1.626 -1.247 7.801
As Tc
12 8
Cartesian
-1.645 0.048 7.413
-1.635 4.794 5.351
-0.002 3.191 3.007
3.370 2.049 4.794
5.014 5.192 0.388
0.014 1.832 5.095
1.668 4.633 5.301
5.004 0.446 2.450
1.645 5.105 0.283
1.701 0.607 2.500
3.354 3.409 2.707
1.723 0.135 7.518
-1.791 2.653 6.694
1.846 2.625 6.764
1.523 2.615 1.037
1.502 5.152 2.845
1.866 0.088 4.956
5.160 2.587 1.107
4.852 0.026 4.875
-1.484 5.214 2.926
```

Material: Ni5Ge3
Method: DFT, PBE
State: relaxed

Summary:
- formation enthalpy at 0 K (eV/atom) = -0.31
- space group = C2/c

Structure (POSCAR):
```
Ni5Ge3
1.0
3.361 5.410 0.000
-3.361 5.410 0.000
0.000 3.268 5.444
Ge Ni
6 10
Cartesian
0.443 10.134 5.190
-0.443 8.500 2.468
-2.660 6.227 1.361
2.660 7.861 4.083
0.443 5.588 2.976
-0.443 3.954 0.254
1.680 2.705 0.000
-1.680 4.339 2.722
1.639 5.098 0.790
-1.639 8.990 4.653
0.590 9.207 0.457
-0.590 4.881 4.986
0.590 3.247 2.265
-0.590 10.841 3.179
1.639 7.356 1.931
-1.639 6.732 3.512
```

Material: LaMg
Method: DFT, PBE
State: relaxed

Summary:
- ΔE to the lowest computed polymorph (meV per atom) = 95
- formation enthalpy at 0 K (eV/atom) = -0.01
- space group = C2

Structure (POSCAR):
```
LaMg
1.0
3.035 5.263 0.000
-3.035 5.263 0.000
0.000 3.530 5.752
La Mg
3 3
Cartesian
2.059 6.955 0.043
2.059 7.101 5.709
-0.088 7.028 2.876
-1.003 5.263 0.000
0.004 3.545 2.883
0.004 10.510 2.869
```

Which formula does entry 2 have? Tc2As3

Which of these has the lowest formation enthalpy at 0 K? LaHfPS2O12